No. 1
First-principles (GGA-PBE) data for LuSi2Ni after structural relaxation, as listed in the Materials Project database.

Properties
Mass density, g/cm3: 7.68
Formation energy, meV per atom: -793
E_tot, eV/atom: -6.081
Space group: No. 63

Cell: 8.482 8.482 3.892 Å, 90.00 90.00 153.40°
Fractional coordinates of all 8 atoms:
Lu 0.105 0.895 0.750
Lu 0.895 0.105 0.250
Si 0.250 0.750 0.250
Si 0.460 0.540 0.750
Si 0.540 0.460 0.250
Si 0.750 0.250 0.750
Ni 0.325 0.675 0.750
Ni 0.675 0.325 0.250

=====

No. 2
First-principles (GGA-PBE) data for CuH9C4N3O6 after structural relaxation, as listed in the Materials Project database.

Properties
Mass density, g/cm3: 1.80
Formation energy, meV per atom: -814
E_tot, eV/atom: -6.124
Space group: No. 33

Cell: 8.973 9.249 11.478 Å, 90.00 90.00 90.00°
Fractional coordinates of all 92 atoms:
Cu 0.002 0.001 0.000
Cu 0.498 0.501 0.500
Cu 0.502 0.499 0.000
Cu 0.998 0.999 0.500
H 0.009 0.923 0.749
H 0.048 0.298 0.188
H 0.081 0.316 0.826
H 0.084 0.698 0.803
H 0.088 0.678 0.174
H 0.132 0.306 0.521
H 0.160 0.508 0.128
H 0.173 0.477 0.869
H 0.191 0.665 0.464
H 0.309 0.165 0.964
H 0.327 0.977 0.369
H 0.340 0.008 0.628
H 0.368 0.806 0.021
H 0.412 0.178 0.674
H 0.416 0.198 0.303
H 0.419 0.816 0.326
H 0.452 0.798 0.688
H 0.491 0.423 0.249
H 0.509 0.577 0.749
H 0.548 0.202 0.188
H 0.581 0.184 0.826
H 0.584 0.802 0.803
H 0.588 0.822 0.174
H 0.632 0.194 0.521
H 0.660 0.992 0.128
H 0.673 0.023 0.869
H 0.691 0.835 0.464
H 0.809 0.335 0.964
H 0.827 0.523 0.369
H 0.840 0.492 0.628
H 0.868 0.694 0.021
H 0.912 0.322 0.674
H 0.916 0.302 0.303
H 0.919 0.684 0.326
H 0.952 0.702 0.688
H 0.991 0.077 0.249
C 0.007 0.042 0.749
C 0.007 0.500 0.748
C 0.204 0.243 0.462
C 0.239 0.220 0.030
C 0.261 0.720 0.530
C 0.296 0.743 0.962
C 0.493 0.000 0.248
C 0.493 0.542 0.249
C 0.507 0.000 0.748
C 0.507 0.458 0.749
C 0.704 0.257 0.462
C 0.739 0.280 0.030
C 0.761 0.780 0.530
C 0.796 0.757 0.962
C 0.993 0.500 0.248
C 0.993 0.958 0.249
N 0.015 0.644 0.745
N 0.091 0.568 0.179
N 0.095 0.425 0.819
N 0.405 0.925 0.319
N 0.409 0.068 0.679
N 0.485 0.144 0.245
N 0.515 0.856 0.745
N 0.591 0.932 0.179
N 0.595 0.075 0.819
N 0.905 0.575 0.319
N 0.909 0.432 0.679
N 0.985 0.356 0.245
O 0.001 0.891 0.153
O 0.012 0.109 0.846
O 0.123 0.153 0.069
O 0.165 0.112 0.439
O 0.180 0.799 0.921
O 0.224 0.844 0.565
O 0.276 0.344 0.065
O 0.320 0.299 0.421
O 0.335 0.612 0.939
O 0.377 0.653 0.569
O 0.488 0.609 0.346
O 0.499 0.391 0.653
O 0.501 0.609 0.153
O 0.512 0.391 0.846
O 0.623 0.347 0.069
O 0.665 0.388 0.439
O 0.680 0.701 0.921
O 0.724 0.656 0.565
O 0.776 0.156 0.065
O 0.820 0.201 0.421
O 0.835 0.888 0.939
O 0.877 0.847 0.569
O 0.988 0.891 0.346
O 0.999 0.109 0.653

=====

No. 3
First-principles (GGA-PBE) data for Rb5Pb6Cl16 after structural relaxation, as listed in the Materials Project database.

Properties
Mass density, g/cm3: 4.61
Formation energy, meV per atom: -1753
E_tot, eV/atom: -3.491
Total moment, μB per formula unit: 1.00
Space group: No. 127

Cell: 12.156 12.156 10.899 Å, 90.00 90.00 90.00°
Fractional coordinates of all 54 atoms:
Rb 0.000 0.000 0.000
Rb 0.120 0.380 0.000
Rb 0.135 0.365 0.500
Rb 0.365 0.865 0.500
Rb 0.380 0.880 0.000
Rb 0.500 0.500 0.000
Rb 0.620 0.120 0.000
Rb 0.635 0.135 0.500
Rb 0.865 0.635 0.500
Rb 0.880 0.620 0.000
Pb 0.000 0.000 0.350
Pb 0.000 0.000 0.650
Pb 0.178 0.678 0.266
Pb 0.178 0.678 0.734
Pb 0.322 0.178 0.266
Pb 0.322 0.178 0.734
Pb 0.500 0.500 0.350
Pb 0.500 0.500 0.650
Pb 0.678 0.822 0.266
Pb 0.678 0.822 0.734
Pb 0.822 0.322 0.266
Pb 0.822 0.322 0.734
Cl 0.000 0.500 0.280
Cl 0.000 0.500 0.720
Cl 0.085 0.201 0.221
Cl 0.085 0.201 0.779
Cl 0.092 0.787 0.500
Cl 0.158 0.658 0.000
Cl 0.201 0.915 0.221
Cl 0.201 0.915 0.779
Cl 0.213 0.092 0.500
Cl 0.287 0.592 0.500
Cl 0.299 0.415 0.221
Cl 0.299 0.415 0.779
Cl 0.342 0.158 0.000
Cl 0.408 0.287 0.500
Cl 0.415 0.701 0.221
Cl 0.415 0.701 0.779
Cl 0.500 0.000 0.280
Cl 0.500 0.000 0.720
Cl 0.585 0.299 0.221
Cl 0.585 0.299 0.779
Cl 0.592 0.713 0.500
Cl 0.658 0.842 0.000
Cl 0.701 0.585 0.221
Cl 0.701 0.585 0.779
Cl 0.713 0.408 0.500
Cl 0.787 0.908 0.500
Cl 0.799 0.085 0.221
Cl 0.799 0.085 0.779
Cl 0.842 0.342 0.000
Cl 0.908 0.213 0.500
Cl 0.915 0.799 0.221
Cl 0.915 0.799 0.779

=====

No. 4
First-principles (GGA-PBE) data for Sr6Cu3N5 after structural relaxation, as listed in the Materials Project database.

Properties
Mass density, g/cm3: 4.69
Formation energy, meV per atom: -615
E_tot, eV/atom: -5.065
Largest piezoelectric modulus, C/m²: 0.292
Space group: No. 105

Cell: 8.695 8.695 7.364 Å, 90.00 90.00 90.00°
Fractional coordinates of all 28 atoms:
Sr 0.000 0.000 0.000
Sr 0.000 0.000 0.500
Sr 0.000 0.500 0.019
Sr 0.267 0.303 0.708
Sr 0.267 0.697 0.708
Sr 0.303 0.267 0.208
Sr 0.303 0.733 0.208
Sr 0.500 0.000 0.519
Sr 0.697 0.267 0.208
Sr 0.697 0.733 0.208
Sr 0.733 0.303 0.708
Sr 0.733 0.697 0.708
Cu 0.000 0.359 0.431
Cu 0.000 0.641 0.431
Cu 0.359 0.000 0.931
Cu 0.500 0.500 0.469
Cu 0.500 0.500 0.969
Cu 0.641 0.000 0.931
N 0.000 0.219 0.238
N 0.000 0.500 0.629
N 0.000 0.781 0.238
N 0.219 0.000 0.738
N 0.287 0.500 0.981
N 0.500 0.000 0.129
N 0.500 0.287 0.481
N 0.500 0.713 0.481
N 0.713 0.500 0.981
N 0.781 0.000 0.738

=====

No. 5
First-principles (GGA-PBE) data for PrVSb3 after structural relaxation, as listed in the Materials Project database.

Properties
Mass density, g/cm3: 5.69
Formation energy, meV per atom: 44
E_tot, eV/atom: -5.091
Total moment, μB per formula unit: 3.46
Distance to the lowest polymorph of the same formula, meV/atom: 694
Space group: No. 57

Cell: 7.690 8.992 9.402 Å, 90.00 90.00 90.00°
Fractional coordinates of all 20 atoms:
Pr 0.193 0.247 0.250
Pr 0.193 0.253 0.750
Pr 0.807 0.747 0.250
Pr 0.807 0.753 0.750
V 0.180 0.750 0.000
V 0.180 0.750 0.500
V 0.820 0.250 0.000
V 0.820 0.250 0.500
Sb 0.180 0.602 0.250
Sb 0.180 0.898 0.750
Sb 0.445 0.544 0.750
Sb 0.445 0.956 0.250
Sb 0.472 0.250 0.000
Sb 0.472 0.250 0.500
Sb 0.528 0.750 0.000
Sb 0.528 0.750 0.500
Sb 0.555 0.044 0.750
Sb 0.555 0.456 0.250
Sb 0.820 0.102 0.250
Sb 0.820 0.398 0.750

=====

No. 6
First-principles (GGA-PBE) data for Mg2FeB2Ir5 after structural relaxation, as listed in the Materials Project database.

Properties
Mass density, g/cm3: 13.80
Formation energy, meV per atom: -425
E_tot, eV/atom: -7.347
Total moment, μB per formula unit: 3.55
Space group: No. 127

Cell: 9.459 9.459 2.923 Å, 90.00 90.00 90.00°
Fractional coordinates of all 20 atoms:
Mg 0.176 0.324 0.000
Mg 0.324 0.824 0.000
Mg 0.676 0.176 0.000
Mg 0.824 0.676 0.000
Fe 0.000 0.000 0.000
Fe 0.500 0.500 0.000
B 0.126 0.626 0.000
B 0.374 0.126 0.000
B 0.626 0.874 0.000
B 0.874 0.374 0.000
Ir 0.000 0.500 0.500
Ir 0.071 0.786 0.500
Ir 0.214 0.071 0.500
Ir 0.286 0.571 0.500
Ir 0.429 0.286 0.500
Ir 0.500 0.000 0.500
Ir 0.571 0.714 0.500
Ir 0.714 0.429 0.500
Ir 0.786 0.929 0.500
Ir 0.929 0.214 0.500

=====

No. 7
First-principles (GGA-PBE) data for Lu3GaC after structural relaxation, as listed in the Materials Project database.

Properties
Mass density, g/cm3: 9.58
Formation energy, meV per atom: -546
E_tot, eV/atom: -5.710
Space group: No. 221

Cell: 4.720 4.720 4.720 Å, 90.00 90.00 90.00°
Fractional coordinates of all 5 atoms:
Lu 0.000 0.000 0.500
Lu 0.000 0.500 0.000
Lu 0.500 0.000 0.000
Ga 0.500 0.500 0.500
C 0.000 0.000 0.000

=====

No. 8
First-principles (GGA-PBE) data for NaSiSbCO7 after structural relaxation, as listed in the Materials Project database.

Properties
Mass density, g/cm3: 3.03
Formation energy, meV per atom: -2251
E_tot, eV/atom: -6.790
Total moment, μB per formula unit: 0.00
Space group: No. 4

Cell: 5.352 6.527 9.316 Å, 90.00 92.68 90.00°
Fractional coordinates of all 22 atoms:
Na 0.240 0.000 0.278
Na 0.760 0.500 0.722
Si 0.275 0.718 0.935
Si 0.725 0.218 0.065
Sb 0.212 0.212 0.842
Sb 0.788 0.712 0.158
C 0.276 0.230 0.576
C 0.724 0.730 0.424
O 0.052 0.227 0.637
O 0.126 0.730 0.084
O 0.200 0.519 0.836
O 0.210 0.913 0.830
O 0.308 0.226 0.448
O 0.421 0.208 0.022
O 0.463 0.234 0.681
O 0.537 0.734 0.319
O 0.579 0.708 0.978
O 0.692 0.726 0.552
O 0.790 0.413 0.170
O 0.800 0.019 0.164
O 0.874 0.230 0.916
O 0.948 0.727 0.363

=====

Which of these has the lowest formation energy?
NaSiSbCO7

=====

Which value of mass density does entry 5 give?
5.69 g/cm3